Run a
A plane-wave DFT calculation with GGA-PBE was carried out for a relaxed Ba2LuMgRuO6 crystal.

Properties
Calculated density   6.647 g/cm3

Cell: 5.947 5.947 6.520 Å, 118.01 118.01 59.88°
Positions (direct):
Ba (0.000, 0.000, 0.000)
Ba (0.546, 0.546, 0.647)
Lu (0.211, 0.211, 0.636)
Mg (0.381, 0.381, 0.137)
Ru (0.739, 0.739, 0.225)
O (0.485, 0.485, 0.970)
O (0.488, 0.969, 0.441)
O (0.490, 0.997, 0.981)
O (0.969, 0.488, 0.441)
O (0.973, 0.973, 0.447)
O (0.997, 0.490, 0.981)

***

Run b
A plane-wave DFT calculation with GGA-PBE was carried out for a relaxed Ba2LuMgRuO6 crystal.

Properties
Calculated density   6.880 g/cm3

Cell: 6.221 6.221 6.221 Å, 123.98 121.89 84.99°
Positions (direct):
Ba (0.191, 0.191, 0.000)
Ba (0.809, 0.809, 0.000)
Lu (0.500, 0.000, 0.500)
Mg (0.500, 0.500, 0.000)
Ru (0.000, 0.500, 0.500)
O (0.239, 0.739, 0.500)
O (0.259, 0.266, 0.525)
O (0.259, 0.734, 0.993)
O (0.741, 0.266, 0.007)
O (0.741, 0.734, 0.475)
O (0.761, 0.261, 0.500)

***

Run c
A plane-wave DFT calculation with GGA-PBE was carried out for a relaxed Ba2LuMgRuO6 crystal.

Properties
Calculated density   5.816 g/cm3

Cell: 6.159 6.159 6.861 Å, 116.73 116.73 59.37°
Positions (direct):
Ba (0.000, 0.000, 0.000)
Ba (0.576, 0.576, 0.719)
Lu (0.773, 0.773, 0.299)
Mg (0.349, 0.349, 0.031)
Ru (0.201, 0.201, 0.563)
O (0.006, 0.543, 0.071)
O (0.033, 0.033, 0.563)
O (0.058, 0.559, 0.587)
O (0.543, 0.006, 0.071)
O (0.545, 0.545, 0.095)
O (0.559, 0.058, 0.587)

***

run c ends up most stable, edging out the next structure by 11.2 kJ/mol of atoms.

***

Run a
A plane-wave DFT calculation with GGA-PBE was carried out for a relaxed Ba2LuMgSbO6 crystal.

Properties
Calculated density   6.196 g/cm3

Cell: 6.555 6.555 6.555 Å, 124.81 123.36 83.07°
Positions (direct):
Ba (0.193, 0.193, 0.000)
Ba (0.807, 0.807, 0.000)
Lu (0.500, 0.000, 0.500)
Mg (0.500, 0.500, 0.000)
Sb (0.000, 0.500, 0.500)
O (0.261, 0.761, 0.500)
O (0.269, 0.262, 0.532)
O (0.269, 0.738, 0.007)
O (0.731, 0.262, 0.993)
O (0.731, 0.738, 0.468)
O (0.739, 0.239, 0.500)

***

Run b
A plane-wave DFT calculation with GGA-PBE was carried out for a relaxed Ba2LuMgSbO6 crystal.

Properties
Calculated density   5.524 g/cm3

Cell: 6.239 6.239 7.159 Å, 116.08 116.08 59.99°
Positions (direct):
Ba (0.000, 0.000, 0.000)
Ba (0.589, 0.589, 0.767)
Lu (0.340, 0.340, 0.018)
Mg (0.195, 0.195, 0.589)
Sb (0.786, 0.786, 0.353)
O (0.035, 0.573, 0.172)
O (0.098, 0.552, 0.750)
O (0.099, 0.099, 0.753)
O (0.552, 0.098, 0.750)
O (0.570, 0.570, 0.164)
O (0.573, 0.035, 0.172)

***

Run c
A plane-wave DFT calculation with GGA-PBE was carried out for a relaxed Ba2LuMgSbO6 crystal.

Properties
Calculated density   5.434 g/cm3

Cell: 6.178 6.178 7.329 Å, 115.03 115.03 59.99°
Positions (direct):
Ba (0.000, 0.000, 0.000)
Ba (0.548, 0.548, 0.644)
Lu (0.728, 0.728, 0.182)
Mg (0.325, 0.325, 0.974)
Sb (0.176, 0.176, 0.524)
O (0.443, 0.969, 0.372)
O (0.496, 0.964, 0.955)
O (0.497, 0.497, 0.958)
O (0.964, 0.496, 0.955)
O (0.966, 0.966, 0.364)
O (0.969, 0.443, 0.372)

***

run c ends up most stable, edging out the next structure by 13.4 kJ/mol of atoms.

***

Run a
A plane-wave DFT calculation with GGA-PBE was carried out for a relaxed BaLu2O4 crystal.

Properties
Calculated density   8.594 g/cm3

Cell: 5.817 5.817 11.317 Å, 90.00 90.00 146.20°
Positions (direct):
Ba (0.110, 0.890, 0.750)
Ba (0.890, 0.110, 0.250)
Lu (0.364, 0.636, 0.570)
Lu (0.364, 0.636, 0.930)
Lu (0.636, 0.364, 0.070)
Lu (0.636, 0.364, 0.430)
O (0.000, 0.000, 0.000)
O (0.000, 0.000, 0.500)
O (0.260, 0.740, 0.100)
O (0.260, 0.740, 0.400)
O (0.431, 0.569, 0.750)
O (0.569, 0.431, 0.250)
O (0.740, 0.260, 0.600)
O (0.740, 0.260, 0.900)

***

Run b
A plane-wave DFT calculation with GGA-PBE was carried out for a relaxed BaLu2O4 crystal.

Properties
Calculated density   8.714 g/cm3

Cell: 10.347 3.396 11.960 Å, 90.00 90.00 90.00°
Positions (direct):
Ba (0.248, 0.250, 0.149)
Ba (0.252, 0.750, 0.649)
Ba (0.748, 0.250, 0.351)
Ba (0.752, 0.750, 0.851)
Lu (0.074, 0.250, 0.390)
Lu (0.076, 0.250, 0.892)
Lu (0.424, 0.750, 0.392)
Lu (0.426, 0.750, 0.890)
Lu (0.574, 0.250, 0.110)
Lu (0.576, 0.250, 0.608)
Lu (0.924, 0.750, 0.108)
Lu (0.926, 0.750, 0.610)
O (0.016, 0.750, 0.783)
O (0.067, 0.250, 0.574)
O (0.112, 0.750, 0.016)
O (0.211, 0.750, 0.346)
O (0.289, 0.250, 0.846)
O (0.388, 0.250, 0.516)
O (0.433, 0.750, 0.074)
O (0.484, 0.250, 0.283)
O (0.516, 0.750, 0.717)
O (0.567, 0.250, 0.926)
O (0.612, 0.750, 0.484)
O (0.711, 0.750, 0.154)
O (0.789, 0.250, 0.654)
O (0.888, 0.250, 0.984)
O (0.933, 0.750, 0.426)
O (0.984, 0.250, 0.217)

***

run b ends up most stable, edging out the next structure by 4.0 kJ/mol of atoms.

***

Run a
A plane-wave DFT calculation with GGA-PBE was carried out for a relaxed BaMg6Mn crystal.

Properties
Calculated density   2.669 g/cm3

Cell: 5.170 6.871 11.842 Å, 90.00 90.00 90.00°
Positions (direct):
Ba (0.500, 0.500, 0.170)
Ba (0.500, 0.000, 0.670)
Mg (0.000, 0.223, 0.071)
Mg (0.000, 0.777, 0.071)
Mg (0.000, 0.500, 0.834)
Mg (0.500, 0.233, 0.918)
Mg (0.500, 0.767, 0.918)
Mg (0.500, 0.500, 0.661)
Mg (0.000, 0.723, 0.571)
Mg (0.000, 0.277, 0.571)
Mg (0.000, 0.000, 0.334)
Mg (0.500, 0.733, 0.418)
Mg (0.500, 0.267, 0.418)
Mg (0.500, 0.000, 0.161)
Mn (0.000, 0.500, 0.356)
Mn (0.000, 0.000, 0.856)

***

Run b
A plane-wave DFT calculation with GGA-PBE was carried out for a relaxed BaMg6Mn crystal.

Properties
Calculated density   2.666 g/cm3

Cell: 5.257 6.790 11.798 Å, 90.00 90.00 90.00°
Positions (direct):
Ba (0.500, 0.500, 0.166)
Ba (0.500, 0.000, 0.666)
Mg (0.500, 0.258, 0.420)
Mg (0.500, 0.742, 0.420)
Mg (0.000, 0.779, 0.081)
Mg (0.000, 0.221, 0.081)
Mg (0.000, 0.000, 0.327)
Mg (0.000, 0.500, 0.347)
Mg (0.500, 0.758, 0.920)
Mg (0.500, 0.242, 0.920)
Mg (0.000, 0.279, 0.581)
Mg (0.000, 0.721, 0.581)
Mg (0.000, 0.500, 0.827)
Mg (0.000, 0.000, 0.847)
Mn (0.500, 0.000, 0.157)
Mn (0.500, 0.500, 0.657)

***

run a ends up most stable, edging out the next structure by 0.8 kJ/mol of atoms.

***

Run a
A plane-wave DFT calculation with GGA-PBE was carried out for a relaxed Ba2MgNb6N2O14 crystal.

Properties
Calculated density   4.818 g/cm3

Cell: 3.995 9.780 9.821 Å, 84.58 89.81 89.96°
Positions (direct):
Ba (0.000, 0.000, 0.000)
Ba (0.013, 0.395, 0.898)
Mg (0.508, 0.703, 0.831)
Nb (0.008, 0.424, 0.359)
Nb (0.012, 0.729, 0.587)
Nb (0.014, 0.074, 0.627)
Nb (0.500, 0.649, 0.142)
Nb (0.510, 0.252, 0.193)
Nb (0.515, 0.918, 0.411)
N (0.014, 0.919, 0.464)
N (0.516, 0.070, 0.266)
O (0.008, 0.607, 0.178)
O (0.009, 0.573, 0.485)
O (0.009, 0.644, 0.779)
O (0.009, 0.909, 0.744)
O (0.010, 0.273, 0.483)
O (0.010, 0.306, 0.180)
O (0.014, 0.179, 0.772)
O (0.500, 0.805, 0.006)
O (0.508, 0.448, 0.302)
O (0.511, 0.214, 0.006)
O (0.511, 0.536, 0.987)
O (0.511, 0.750, 0.606)
O (0.513, 0.067, 0.577)
O (0.513, 0.772, 0.291)

***

Run b
A plane-wave DFT calculation with GGA-PBE was carried out for a relaxed Ba2MgNb6N2O14 crystal.

Properties
Calculated density   4.844 g/cm3

Cell: 10.655 10.655 9.111 Å, 91.34 91.34 21.56°
Positions (direct):
Ba (0.000, 0.000, 0.000)
Ba (0.032, 0.032, 0.496)
Mg (0.790, 0.790, 0.178)
Nb (0.248, 0.248, 0.970)
Nb (0.382, 0.382, 0.297)
Nb (0.382, 0.382, 0.684)
Nb (0.643, 0.643, 0.188)
Nb (0.643, 0.643, 0.814)
Nb (0.775, 0.775, 0.514)
N (0.311, 0.311, 0.139)
N (0.722, 0.722, 0.001)
O (0.154, 0.154, 0.163)
O (0.154, 0.154, 0.836)
O (0.300, 0.300, 0.500)
O (0.305, 0.305, 0.817)
O (0.433, 0.433, 0.503)
O (0.446, 0.446, 0.825)
O (0.453, 0.453, 0.182)
O (0.576, 0.576, 0.678)
O (0.581, 0.581, 0.327)
O (0.588, 0.588, 0.998)
O (0.713, 0.713, 0.651)
O (0.723, 0.723, 0.333)
O (0.862, 0.862, 0.334)
O (0.863, 0.863, 0.650)

***

Run c
A plane-wave DFT calculation with GGA-PBE was carried out for a relaxed Ba2MgNb6N2O14 crystal.

Properties
Calculated density   4.961 g/cm3

Cell: 4.032 9.303 9.977 Å, 82.51 89.49 89.29°
Positions (direct):
Ba (0.000, 0.000, 0.000)
Ba (0.448, 0.405, 0.734)
Mg (0.540, 0.806, 0.740)
Nb (0.478, 0.941, 0.355)
Nb (0.496, 0.664, 0.098)
Nb (0.497, 0.300, 0.090)
Nb (0.963, 0.087, 0.580)
Nb (0.981, 0.716, 0.521)
Nb (0.996, 0.415, 0.284)
N (0.482, 0.806, 0.223)
N (0.976, 0.928, 0.420)
O (0.473, 0.756, 0.541)
O (0.478, 0.068, 0.556)
O (0.493, 0.111, 0.231)
O (0.493, 0.482, 0.977)
O (0.495, 0.184, 0.945)
O (0.496, 0.456, 0.254)
O (0.497, 0.800, 0.938)
O (0.920, 0.624, 0.704)
O (0.958, 0.232, 0.691)
O (0.993, 0.558, 0.425)
O (0.994, 0.255, 0.411)
O (0.994, 0.617, 0.127)
O (0.995, 0.915, 0.715)
O (0.996, 0.287, 0.111)

***

Run d
A plane-wave DFT calculation with GGA-PBE was carried out for a relaxed Ba2MgNb6N2O14 crystal.

Properties
Calculated density   4.732 g/cm3

Cell: 4.008 9.203 10.729 Å, 89.81 79.37 90.00°
Positions (direct):
Ba (0.000, 0.000, 0.000)
Ba (0.144, 0.484, 0.717)
Mg (0.943, 0.477, 0.111)
Nb (0.254, 0.971, 0.495)
Nb (0.374, 0.283, 0.253)
Nb (0.385, 0.685, 0.229)
Nb (0.653, 0.802, 0.699)
Nb (0.662, 0.173, 0.681)
Nb (0.785, 0.485, 0.433)
N (0.313, 0.483, 0.375)
N (0.724, 0.332, 0.555)
O (0.170, 0.815, 0.664)
O (0.172, 0.130, 0.660)
O (0.311, 0.132, 0.379)
O (0.313, 0.820, 0.375)
O (0.443, 0.487, 0.112)
O (0.447, 0.169, 0.106)
O (0.449, 0.821, 0.101)
O (0.595, 0.295, 0.818)
O (0.595, 0.656, 0.817)
O (0.600, 0.974, 0.805)
O (0.724, 0.640, 0.555)
O (0.732, 0.977, 0.538)
O (0.873, 0.328, 0.255)
O (0.881, 0.643, 0.238)

***

run b ends up most stable, edging out the next structure by 1.5 kJ/mol of atoms.